No. 1
MgTe2Mo2W2Se4S2 | GGA-PBE | relaxed

Computed properties:
The calculation puts the relative energy among the computed polymorphs at 0.0 meV/atom. The symmetry is Cm. The crystal system is monoclinic.

a = 3.3393 Å, b = 3.3393 Å, c = 45.2676 Å
α = 90.21°, β = 90.21°, γ = 59.99°
With the nearest neighbours (Å) after each atom.
Atoms (fractional coordinates):
1 Mg 0.0000 0.0000 0.0000  1 Se 2.90
2 Te 0.0011 0.0011 0.5131  3 Mo 2.70-2.71
3 Te 0.9990 0.9990 0.4293  3 Mo 2.70-2.71
4 Mo 0.3333 0.3333 0.4712  6 Te 2.70-2.71
5 Mo 0.3337 0.3337 0.1011  6 Se 2.55-2.56
6 W 0.0000 0.0000 0.2831  6 Se 2.55-2.56
7 W 0.0023 0.0023 0.8979  6 S 2.45-2.46
8 Se 0.0016 0.0016 0.1379  3 Mo 2.55
9 Se 0.3320 0.3320 0.2461  3 W 2.55
10 Se 0.3347 0.3347 0.3201  3 W 2.55-2.56
11 Se 0.9993 0.9993 0.0640  3 Mo 2.56
12 S 0.3345 0.3345 0.8643  3 W 2.45
13 S 0.3368 0.3368 0.9315  3 W 2.46

No. 2
Zr2N2O | GGA-PBE | relaxed

Computed properties:
The symmetry is P1. The crystal system is triclinic.

a = 8.8575 Å, b = 8.8726 Å, c = 8.8752 Å
α = 109.50°, β = 109.35°, γ = 109.32°
With the nearest neighbours (Å) after each atom.
Atoms (fractional coordinates):
1 Zr 0.0000 0.0000 0.0000  4 N 2.12-2.22, 2 O 2.31-2.32
2 Zr 0.0116 0.5300 0.5125  5 N 2.14-2.28, 1 O 2.33
3 Zr 0.0505 0.7721 0.2968  4 N 2.15-2.25, 2 O 2.17-2.23
4 Zr 0.2302 0.4886 0.2710  3 N 2.10-2.23, 3 O 2.16-2.27
5 Zr 0.2593 0.8096 0.0403  5 N 2.14-2.26, 1 O 2.31
6 Zr 0.2642 0.3047 0.5533  3 N 2.14-2.27, 3 O 2.16-2.25
7 Zr 0.2867 0.0506 0.7511  4 N 2.12-2.25, 2 O 2.21-2.33
8 Zr 0.4745 0.2685 0.2221  4 N 2.18-2.25, 2 O 2.19-2.20
9 Zr 0.5007 0.5216 0.0134  3 N 2.11-2.16, 3 O 2.23-2.29
10 Zr 0.5244 0.0323 0.5125  4 N 2.14-2.25, 2 O 2.28-2.31
11 Zr 0.5471 0.7704 0.7966  2 O 2.17-2.28, 4 N 2.17-2.30
12 Zr 0.7163 0.9811 0.2538  4 N 2.14-2.25, 2 O 2.25-2.27
13 Zr 0.7583 0.7304 0.4789  5 N 2.14-2.25, 1 O 2.32
14 Zr 0.7721 0.2414 0.9847  3 N 2.10-2.19, 3 O 2.17-2.35
15 Zr 0.8063 0.5503 0.7587  5 N 2.16-2.30, 1 O 2.26
16 Zr 0.9751 0.2673 0.7231  4 N 2.17-2.27, 2 O 2.18-2.25
17 N 0.0024 0.7819 0.0468  4 Zr 2.12-2.23
18 N 0.0441 0.7927 0.5544  4 Zr 2.12-2.25
19 N 0.0592 0.5515 0.7806  4 Zr 2.18-2.20
20 N 0.2400 0.0106 0.9657  4 Zr 2.14-2.23
21 N 0.2423 0.2837 0.7850  4 Zr 2.16-2.19
22 N 0.2749 0.0559 0.4958  4 Zr 2.14-2.25
23 N 0.2888 0.5635 0.5432  4 Zr 2.10-2.28
24 N 0.4706 0.7446 0.0009  4 Zr 2.11-2.23
25 N 0.4743 0.5282 0.2441  4 Zr 2.12-2.25
26 N 0.5221 0.0639 0.2833  4 Zr 2.14-2.26
27 N 0.7382 0.2905 0.7528  4 Zr 2.14-2.27
28 N 0.7388 0.4690 0.4725  4 Zr 2.17-2.25
29 N 0.7526 0.9871 0.5190  4 Zr 2.17-2.25
30 N 0.7705 0.7895 0.7383  4 Zr 2.12-2.30
31 N 0.7880 0.0375 0.0594  4 Zr 2.15-2.30
32 N 0.9685 0.4869 0.2349  4 Zr 2.10-2.24
33 O 0.0259 0.2576 0.9763  4 Zr 2.18-2.31
34 O 0.2489 0.2481 0.2810  4 Zr 2.19-2.32
35 O 0.2877 0.7479 0.2784  4 Zr 2.16-2.31
36 O 0.4975 0.9737 0.7396  4 Zr 2.17-2.35
37 O 0.5458 0.5066 0.7731  4 Zr 2.17-2.28
38 O 0.5586 0.2907 0.0204  4 Zr 2.17-2.33
39 O 0.7831 0.7512 0.2333  4 Zr 2.17-2.32
40 O 0.9828 0.2447 0.4655  4 Zr 2.16-2.33

No. 3
Dy8Rh5C12 | GGA-PBE | relaxed

Computed properties:
The symmetry is C2/m. The crystal system is monoclinic.

a = 14.0829 Å, b = 14.0829 Å, c = 7.4184 Å
α = 93.92°, β = 93.92°, γ = 14.51°
With the nearest neighbours (Å) after each atom.
Atoms (fractional coordinates):
1 Dy 0.0471 0.0471 0.2969  4 C 2.65-2.95, 2 Rh 2.83
2 Dy 0.0881 0.0881 0.8283  6 C 2.58-2.66
3 Dy 0.1996 0.1996 0.6092  5 C 2.34-2.62
4 Dy 0.2063 0.2063 0.1160  5 C 2.41-2.56
5 Dy 0.7937 0.7937 0.8840  5 C 2.41-2.56
6 Dy 0.8004 0.8004 0.3908  5 C 2.34-2.62
7 Dy 0.9119 0.9119 0.1717  6 C 2.58-2.66
8 Dy 0.9529 0.9529 0.7031  4 C 2.65-2.95, 2 Rh 2.83
9 Rh 0.3834 0.3834 0.8723  2 C 2.10-2.29
10 Rh 0.3900 0.3900 0.5074  2 C 2.01-2.02
11 Rh 0.5000 0.5000 0.0000  2 C 1.96
12 Rh 0.6100 0.6100 0.4926  2 C 2.01-2.02
13 Rh 0.6166 0.6166 0.1277  2 C 2.10-2.29
14 C 0.2835 0.2835 0.6353  1 C 1.34
15 C 0.2928 0.2928 0.1310  1 C 1.36
16 C 0.3317 0.3317 0.6528  1 C 1.34
17 C 0.3413 0.3413 0.1263  1 C 1.36
18 C 0.4522 0.4522 0.3861  1 C 1.30
19 C 0.4773 0.4773 0.2447  1 C 1.30
20 C 0.5227 0.5227 0.7553  1 C 1.30
21 C 0.5478 0.5478 0.6139  1 C 1.30
22 C 0.6587 0.6587 0.8737  1 C 1.36
23 C 0.6683 0.6683 0.3472  1 C 1.34
24 C 0.7072 0.7072 0.8690  1 C 1.36
25 C 0.7165 0.7165 0.3647  1 C 1.34

Number 1: energy of formation -0.5462 eV per atom. Number 2: energy of formation -2.1894 eV per atom. Number 3: energy of formation -0.3894 eV per atom.